Compound: CeSi2Pd2
Source: the Materials Project
Functional: PBE
Structure: relaxed

- ΔE_f (meV per atom) = -910.1

Lattice parameters (Å, degrees): 4.2002 4.2002 10.0611 90.00 90.00 90.00
Sites, in units of the cell vectors:
Ce: 0.0000 0.0000 0.0000
Ce: 0.5000 0.5000 0.5000
Si: 0.0000 0.0000 0.3832
Si: 0.0000 0.0000 0.6168
Si: 0.5000 0.5000 0.1168
Si: 0.5000 0.5000 0.8832
Pd: 0.0000 0.5000 0.2500
Pd: 0.0000 0.5000 0.7500
Pd: 0.5000 0.0000 0.2500
Pd: 0.5000 0.0000 0.7500


Compound: Ce3Si6Pd20
Source: the Materials Project
Functional: PBE
Structure: relaxed

- distance to the lowest polymorph of the same formula (eV/f.u.) = 0.000
- ΔE_f (meV per atom) = -784.1

Lattice parameters (Å, degrees): 8.7408 8.7408 8.7408 60.00 60.00 60.00
Sites, in units of the cell vectors:
Ce: 0.0000 0.0000 0.0000
Ce: 0.2500 0.2500 0.2500
Ce: 0.7500 0.7500 0.7500
Si: 0.2677 0.2677 0.7323
Si: 0.2677 0.7323 0.2677
Si: 0.2677 0.7323 0.7323
Si: 0.7323 0.2677 0.2677
Si: 0.7323 0.2677 0.7323
Si: 0.7323 0.7323 0.2677
Pd: 0.0000 0.0000 0.3460
Pd: 0.0000 0.0000 0.6540
Pd: 0.0000 0.3460 0.0000
Pd: 0.0000 0.3460 0.6540
Pd: 0.0000 0.6540 0.0000
Pd: 0.0000 0.6540 0.3460
Pd: 0.1522 0.6159 0.6159
Pd: 0.3460 0.0000 0.0000
Pd: 0.3460 0.0000 0.6540
Pd: 0.3460 0.6540 0.0000
Pd: 0.3841 0.3841 0.3841
Pd: 0.3841 0.3841 0.8478
Pd: 0.3841 0.8478 0.3841
Pd: 0.6159 0.1522 0.6159
Pd: 0.6159 0.6159 0.1522
Pd: 0.6159 0.6159 0.6159
Pd: 0.6540 0.0000 0.0000
Pd: 0.6540 0.0000 0.3460
Pd: 0.6540 0.3460 0.0000
Pd: 0.8478 0.3841 0.3841


The records above yield total DFT energy (no corrections) values of -6.34, -6.09 eV per atom, respectively.